K2CuBiCl6: relaxed, GGA-PBE.

Cell and atoms, written as CIF:
```
data_K2CuBiCl6
_chemical_formula_sum 'K2 Cu1 Bi1 Cl6'
_space_group_name_H-M_alt 'P 1'
_space_group_IT_number 1
_cell_length_a 7.401
_cell_length_b 7.401
_cell_length_c 7.401
_cell_angle_alpha 60.00
_cell_angle_beta 60.00
_cell_angle_gamma 60.00
loop_
_space_group_symop_operation_xyz
'x,y,z'
loop_
_atom_site_label
_atom_site_type_symbol
_atom_site_fract_x
_atom_site_fract_y
_atom_site_fract_z
Cu1 Cu 0.500 0.500 0.500
K1 K 0.250 0.250 0.250
K2 K 0.750 0.750 0.750
Cl1 Cl 0.261 0.739 0.739
Cl2 Cl 0.261 0.261 0.739
Cl3 Cl 0.739 0.261 0.261
Cl4 Cl 0.261 0.739 0.261
Cl5 Cl 0.739 0.261 0.739
Cl6 Cl 0.739 0.739 0.261
Bi1 Bi 0.000 0.000 0.000
```

## Properties
DFT formation energy = -1.606 eV/atom
Total energy after the MP2020 corrections = -3.7359 eV per atom